# 1
HfCoAs after structural relaxation, computed with meta-GGA r2SCAN.

Cell: 6.423 3.795 7.188 Å, 90.00 90.00 90.00°
Fractional positions:
Hf 0.019 0.250 0.188
Hf 0.481 0.750 0.688
Hf 0.519 0.250 0.312
Hf 0.981 0.750 0.812
Co 0.138 0.250 0.564
Co 0.362 0.750 0.064
Co 0.638 0.250 0.936
Co 0.862 0.750 0.436
As 0.232 0.750 0.385
As 0.268 0.250 0.885
As 0.732 0.750 0.115
As 0.768 0.250 0.615

Properties
Total magnetic moment: 0.0 μB/f.u.
Energy of formation: -0.796 eV per atom
Total DFT energy (no corrections): -25.161 eV per atom

# 2
KCo2As2 after structural relaxation, computed with meta-GGA r2SCAN.

Cell: 3.740 3.740 13.640 Å, 90.00 90.00 90.00°
Fractional positions:
K 0.000 0.000 0.000
K 0.500 0.500 0.500
Co 0.000 0.500 0.250
Co 0.000 0.500 0.750
Co 0.500 0.000 0.250
Co 0.500 0.000 0.750
As 0.000 0.000 0.347
As 0.000 0.000 0.653
As 0.500 0.500 0.153
As 0.500 0.500 0.847

Properties
Total magnetic moment: 0.0 μB/f.u.
Energy of formation: -0.388 eV per atom
Total DFT energy (no corrections): -12.768 eV per atom

# 3
Co2As2O5 after structural relaxation, computed with meta-GGA r2SCAN.

Cell: 6.214 9.251 9.261 Å, 66.01 78.98 82.22°
Fractional positions:
Co 0.100 0.154 0.411
Co 0.175 0.545 0.733
Co 0.357 0.370 0.055
Co 0.399 0.851 0.609
Co 0.601 0.149 0.391
Co 0.643 0.630 0.945
Co 0.825 0.455 0.267
Co 0.900 0.846 0.589
As 0.116 0.748 0.969
As 0.237 0.168 0.721
As 0.271 0.989 0.221
As 0.286 0.491 0.390
As 0.714 0.509 0.610
As 0.729 0.011 0.779
As 0.763 0.832 0.279
As 0.884 0.252 0.031
O 0.091 0.385 0.364
O 0.120 0.760 0.769
O 0.126 0.360 0.941
O 0.188 0.906 0.435
O 0.269 0.378 0.610
O 0.325 0.593 0.030
O 0.327 0.093 0.567
O 0.377 0.158 0.231
O 0.474 0.613 0.663
O 0.484 0.127 0.806
O 0.516 0.873 0.194
O 0.526 0.387 0.337
O 0.623 0.842 0.769
O 0.673 0.907 0.433
O 0.675 0.407 0.970
O 0.731 0.622 0.390
O 0.812 0.094 0.565
O 0.874 0.640 0.059
O 0.880 0.240 0.231
O 0.909 0.615 0.636

Properties
Total magnetic moment: 6.0 μB/f.u.
Energy of formation: -1.242 eV per atom
Total DFT energy (no corrections): -10.769 eV per atom

# 4
CoAs2O4 after structural relaxation, computed with meta-GGA r2SCAN.

Cell: 8.365 8.365 5.623 Å, 90.00 90.00 90.00°
Fractional positions:
Co 0.000 0.500 0.250
Co 0.000 0.500 0.750
Co 0.500 0.000 0.250
Co 0.500 0.000 0.750
As 0.169 0.187 0.000
As 0.187 0.831 0.500
As 0.313 0.331 0.500
As 0.331 0.687 0.000
As 0.669 0.313 0.000
As 0.687 0.669 0.500
As 0.813 0.169 0.500
As 0.831 0.813 0.000
O 0.106 0.364 0.500
O 0.136 0.394 0.000
O 0.186 0.686 0.250
O 0.186 0.686 0.750
O 0.314 0.186 0.250
O 0.314 0.186 0.750
O 0.364 0.894 0.000
O 0.394 0.864 0.500
O 0.606 0.136 0.500
O 0.636 0.106 0.000
O 0.686 0.814 0.250
O 0.686 0.814 0.750
O 0.814 0.314 0.250
O 0.814 0.314 0.750
O 0.864 0.606 0.000
O 0.894 0.636 0.500

Properties
Total magnetic moment: 3.0 μB/f.u.
Energy of formation: -1.255 eV per atom
Total DFT energy (no corrections): -10.761 eV per atom